1.
Tb2Te4O11 after structural relaxation. Source: Materials Project, functional r²SCAN.

Values from the calculation:
calculated formation energy	-2.043	eV/atom
mass density	6.8	Mg/m³
size of the total moment	0.00	μB/cell

Unit cell a=6.709 b=6.709 c=16.120 alpha=75.49 beta=75.49 gamma=44.94
Element x y z (fractional)
O 0.150 0.850 0.250
O 0.812 0.682 0.873
O 0.608 0.440 0.903
O 0.203 0.091 0.832
O 0.850 0.150 0.750
O 0.909 0.797 0.668
O 0.751 0.665 0.554
O 0.335 0.249 0.946
O 0.091 0.203 0.332
O 0.188 0.318 0.127
O 0.040 0.818 0.955
O 0.960 0.182 0.045
O 0.797 0.909 0.168
O 0.392 0.560 0.097
O 0.682 0.812 0.373
O 0.440 0.608 0.403
O 0.182 0.960 0.545
O 0.560 0.392 0.597
O 0.249 0.335 0.446
O 0.818 0.040 0.455
O 0.665 0.751 0.054
O 0.318 0.188 0.627
Tb 0.133 0.630 0.537
Tb 0.370 0.867 0.963
Tb 0.630 0.133 0.037
Tb 0.867 0.370 0.463
Te 0.591 0.153 0.373
Te 0.843 0.400 0.801
Te 0.153 0.591 0.873
Te 0.847 0.409 0.127
Te 0.157 0.600 0.199
Te 0.400 0.843 0.301
Te 0.409 0.847 0.627
Te 0.600 0.157 0.699

2.
TbVO3 after structural relaxation. Source: Materials Project, functional r²SCAN.

Values from the calculation:
calculated formation energy	-3.329	eV/atom
mass density	7.6	Mg/m³
size of the total moment	8.00	μB/cell

Unit cell a=5.275 b=5.676 c=7.563 alpha=90.00 beta=90.00 gamma=90.00
Element x y z (fractional)
O 0.804 0.809 0.556
O 0.888 0.542 0.250
O 0.388 0.958 0.750
O 0.804 0.809 0.944
O 0.196 0.191 0.056
O 0.696 0.309 0.556
O 0.304 0.691 0.444
O 0.112 0.458 0.750
O 0.196 0.191 0.444
O 0.612 0.042 0.250
O 0.304 0.691 0.056
O 0.696 0.309 0.944
Tb 0.019 0.930 0.250
Tb 0.481 0.430 0.250
Tb 0.519 0.570 0.750
Tb 0.981 0.070 0.750
V 0.500 0.000 0.000
V 0.000 0.500 0.000
V 0.500 0.000 0.500
V 0.000 0.500 0.500

3.
TbVO4 after structural relaxation. Source: Materials Project, functional r²SCAN.

Values from the calculation:
calculated formation energy	-3.291	eV/atom
mass density	5.6	Mg/m³
size of the total moment	0.00	μB/cell

Unit cell a=5.965 b=5.965 c=5.965 alpha=106.23 beta=106.23 gamma=116.17
Element x y z (fractional)
O 0.267 0.201 0.066
O 0.201 0.635 0.934
O 0.733 0.799 0.934
O 0.799 0.733 0.434
O 0.201 0.267 0.566
O 0.365 0.799 0.566
O 0.635 0.201 0.434
O 0.799 0.365 0.066
V 0.625 0.375 0.250
V 0.375 0.625 0.750
Tb 0.125 0.875 0.250
Tb 0.875 0.125 0.750

4.
Tb2WO6 after structural relaxation. Source: Materials Project, functional r²SCAN.

Values from the calculation:
polymorph energy (0 for the lowest one)	0	meV per atom
calculated formation energy	-3.337	eV/atom
mass density	8.8	Mg/m³
size of the total moment	0.00	μB/cell

Unit cell a=5.361 b=7.650 c=11.402 alpha=75.60 beta=90.00 gamma=90.00
Element x y z (fractional)
O 0.013 0.290 0.228
O 0.961 0.937 0.396
O 0.961 0.063 0.104
O 0.538 0.215 0.271
O 0.152 0.366 0.453
O 0.039 0.063 0.604
O 0.538 0.785 0.229
O 0.013 0.710 0.272
O 0.848 0.366 0.953
O 0.462 0.215 0.771
O 0.462 0.785 0.729
O 0.152 0.634 0.047
O 0.522 0.148 0.570
O 0.641 0.509 0.112
O 0.848 0.634 0.547
O 0.039 0.937 0.896
O 0.478 0.852 0.430
O 0.478 0.148 0.070
O 0.641 0.491 0.388
O 0.987 0.710 0.772
O 0.359 0.491 0.888
O 0.987 0.290 0.728
O 0.359 0.509 0.612
O 0.522 0.852 0.930
Tb 0.812 0.798 0.077
Tb 0.317 0.500 0.250
Tb 0.188 0.798 0.577
Tb 0.188 0.202 0.923
Tb 0.737 0.000 0.750
Tb 0.812 0.202 0.423
Tb 0.683 0.500 0.750
Tb 0.263 0.000 0.250
W 0.746 0.722 0.386
W 0.254 0.722 0.886
W 0.254 0.278 0.614
W 0.746 0.278 0.114

5.
Tb2WO6 after structural relaxation. Source: Materials Project, functional r²SCAN.

Values from the calculation:
polymorph energy (0 for the lowest one)	13	meV per atom
calculated formation energy	-3.323	eV/atom
mass density	8.4	Mg/m³
size of the total moment	0.00	μB/cell

Unit cell a=5.243 b=9.087 c=9.928 alpha=90.00 beta=90.00 gamma=90.00
Element x y z (fractional)
Tb 0.037 0.281 0.628
Tb 0.980 0.897 0.466
Tb 0.537 0.219 0.372
Tb 0.520 0.103 0.966
Tb 0.963 0.781 0.872
Tb 0.020 0.397 0.034
Tb 0.480 0.603 0.534
Tb 0.463 0.719 0.128
O 0.919 0.155 0.030
O 0.749 0.590 0.993
O 0.581 0.845 0.530
O 0.730 0.113 0.567
O 0.825 0.047 0.296
O 0.183 0.863 0.681
O 0.419 0.345 0.970
O 0.230 0.387 0.433
O 0.751 0.410 0.493
O 0.192 0.860 0.264
O 0.081 0.655 0.470
O 0.249 0.910 0.007
O 0.808 0.360 0.236
O 0.175 0.547 0.204
O 0.325 0.453 0.704
O 0.817 0.363 0.819
O 0.692 0.640 0.736
O 0.317 0.137 0.181
O 0.770 0.887 0.067
O 0.683 0.637 0.319
O 0.270 0.613 0.933
O 0.251 0.090 0.507
O 0.675 0.953 0.796
O 0.308 0.140 0.764
W 0.960 0.505 0.348
W 0.040 0.005 0.152
W 0.540 0.495 0.848
W 0.460 0.995 0.652

6.
Tc2O7 after structural relaxation. Source: Materials Project, functional r²SCAN.

Values from the calculation:
calculated formation energy	-1.438	eV/atom
mass density	3.7	Mg/m³
size of the total moment	0.00	μB/cell

Unit cell a=5.515 b=7.274 c=13.753 alpha=90.00 beta=90.00 gamma=90.00
Element x y z (fractional)
O 0.437 0.953 0.710
O 0.193 0.232 0.619
O 0.500 0.000 0.500
O 0.563 0.124 0.913
O 0.937 0.124 0.413
O 0.437 0.453 0.790
O 0.937 0.624 0.087
O 0.437 0.876 0.087
O 0.937 0.547 0.710
O 0.500 0.500 0.000
O 0.807 0.768 0.381
O 0.000 0.000 0.000
O 0.693 0.768 0.881
O 0.437 0.376 0.413
O 0.807 0.268 0.119
O 0.000 0.500 0.500
O 0.063 0.953 0.210
O 0.193 0.732 0.881
O 0.563 0.547 0.210
O 0.063 0.876 0.587
O 0.307 0.232 0.119
O 0.563 0.624 0.587
O 0.307 0.732 0.381
O 0.063 0.453 0.290
O 0.063 0.376 0.913
O 0.563 0.047 0.290
O 0.937 0.047 0.790
O 0.693 0.268 0.619
Tc 0.201 0.017 0.107
Tc 0.701 0.983 0.393
Tc 0.799 0.483 0.607
Tc 0.799 0.983 0.893
Tc 0.701 0.483 0.107
Tc 0.201 0.517 0.393
Tc 0.299 0.017 0.607
Tc 0.299 0.517 0.893

7.
TeO3 after structural relaxation. Source: Materials Project, functional r²SCAN.

Values from the calculation:
polymorph energy (0 for the lowest one)	45	meV per atom
calculated formation energy	-0.942	eV/atom
mass density	5.7	Mg/m³
size of the total moment	0.00	μB/cell

Unit cell a=5.128 b=4.801 c=8.342 alpha=90.00 beta=90.00 gamma=90.00
Element x y z (fractional)
O 0.185 0.286 0.581
O 0.815 0.714 0.581
O 0.137 0.250 0.257
O 0.685 0.286 0.433
O 0.863 0.750 0.257
O 0.685 0.214 0.081
O 0.363 0.750 0.757
O 0.315 0.714 0.433
O 0.315 0.786 0.081
O 0.185 0.214 0.933
O 0.815 0.786 0.933
O 0.637 0.250 0.757
Te 0.500 0.000 0.915
Te 0.500 0.500 0.599
Te 0.000 0.500 0.415
Te 0.000 0.000 0.099

8.
TeO3 after structural relaxation. Source: Materials Project, functional r²SCAN.

Values from the calculation:
polymorph energy (0 for the lowest one)	0	meV per atom
calculated formation energy	-0.987	eV/atom
mass density	6.4	Mg/m³
size of the total moment	0.00	μB/cell

Unit cell a=5.200 b=5.200 c=5.200 alpha=56.57 beta=56.57 gamma=56.57
Element x y z (fractional)
O 0.887 0.613 0.250
O 0.613 0.250 0.887
O 0.250 0.887 0.613
O 0.750 0.113 0.387
O 0.113 0.387 0.750
O 0.387 0.750 0.113
Te 0.000 0.000 0.000
Te 0.500 0.500 0.500

9.
TeO after structural relaxation. Source: Materials Project, functional r²SCAN.

Values from the calculation:
calculated formation energy	0.167	eV/atom
mass density	7.7	Mg/m³
size of the total moment	0.00	μB/cell

Unit cell a=3.177 b=3.177 c=7.077 alpha=90.00 beta=90.00 gamma=120.00
Element x y z (fractional)
Te 0.333 0.667 0.250
Te 0.667 0.333 0.750
O 0.000 0.000 0.000
O 0.000 0.000 0.500

10.
TeO3 after structural relaxation. Source: Materials Project, functional r²SCAN.

Values from the calculation:
polymorph energy (0 for the lowest one)	53	meV per atom
calculated formation energy	-0.934	eV/atom
mass density	5.3	Mg/m³
size of the total moment	0.00	μB/cell

Unit cell a=5.167 b=5.167 c=9.789 alpha=84.45 beta=95.55 gamma=60.03
Element x y z (fractional)
O 0.337 0.541 0.888
O 0.541 0.337 0.612
O 0.041 0.838 0.112
O 0.578 0.922 0.887
O 0.078 0.422 0.387
O 0.663 0.459 0.112
O 0.459 0.663 0.388
O 0.838 0.041 0.388
O 0.959 0.162 0.888
O 0.422 0.078 0.113
O 0.922 0.578 0.613
O 0.162 0.959 0.612
Te 0.166 0.666 0.500
Te 0.834 0.334 0.500
Te 0.666 0.166 0.000
Te 0.334 0.834 0.000

11.
TeO3 after structural relaxation. Source: Materials Project, functional r²SCAN.

Values from the calculation:
polymorph energy (0 for the lowest one)	16	meV per atom
calculated formation energy	-0.971	eV/atom
mass density	6.2	Mg/m³
size of the total moment	0.00	μB/cell

Unit cell a=4.994 b=5.190 c=7.235 alpha=90.00 beta=90.00 gamma=90.00
Element x y z (fractional)
O 0.815 0.691 0.061
O 0.685 0.191 0.439
O 0.815 0.691 0.439
O 0.623 0.474 0.750
O 0.185 0.309 0.939
O 0.877 0.974 0.750
O 0.123 0.026 0.250
O 0.685 0.191 0.061
O 0.377 0.526 0.250
O 0.315 0.809 0.561
O 0.315 0.809 0.939
O 0.185 0.309 0.561
Te 0.500 0.500 0.500
Te 0.000 0.000 0.500
Te 0.000 0.000 0.000
Te 0.500 0.500 0.000

12.
Te4O9 after structural relaxation. Source: Materials Project, functional r²SCAN.

Values from the calculation:
calculated formation energy	-1.080	eV/atom
mass density	5.8	Mg/m³
size of the total moment	0.00	μB/cell

Unit cell a=7.300 b=7.300 c=7.300 alpha=79.57 beta=79.57 gamma=79.57
Element x y z (fractional)
O 0.424 0.714 0.227
O 0.955 0.281 0.071
O 0.576 0.286 0.773
O 0.281 0.071 0.955
O 0.586 0.916 0.724
O 0.773 0.576 0.286
O 0.724 0.586 0.916
O 0.276 0.414 0.084
O 0.071 0.955 0.281
O 0.929 0.045 0.719
O 0.045 0.719 0.929
O 0.286 0.773 0.576
O 0.719 0.929 0.045
O 0.714 0.227 0.424
O 0.084 0.276 0.414
O 0.227 0.424 0.714
O 0.916 0.724 0.586
O 0.414 0.084 0.276
Te 0.293 0.600 0.843
Te 0.183 0.183 0.183
Te 0.707 0.400 0.157
Te 0.400 0.157 0.707
Te 0.817 0.817 0.817
Te 0.157 0.707 0.400
Te 0.600 0.843 0.293
Te 0.843 0.293 0.600

13.
ThTe2O6 after structural relaxation. Source: Materials Project, functional r²SCAN.

Values from the calculation:
calculated formation energy	-2.176	eV/atom
mass density	6.7	Mg/m³
size of the total moment	0.00	μB/cell

Unit cell a=11.269 b=7.220 c=8.663 alpha=55.29 beta=90.00 gamma=90.00
Element x y z (fractional)
Te 0.223 0.799 0.940
Te 0.073 0.274 0.462
Te 0.277 0.799 0.440
Te 0.723 0.201 0.560
Te 0.573 0.726 0.038
Te 0.927 0.726 0.538
Te 0.427 0.274 0.962
Te 0.777 0.201 0.060
O 0.596 0.850 0.178
O 0.096 0.150 0.322
O 0.599 0.387 0.544
O 0.401 0.613 0.456
O 0.282 0.429 0.895
O 0.248 0.963 0.182
O 0.252 0.963 0.682
O 0.404 0.150 0.822
O 0.978 0.527 0.296
O 0.400 0.990 0.420
O 0.100 0.990 0.920
O 0.600 0.010 0.580
O 0.782 0.571 0.605
O 0.901 0.387 0.044
O 0.718 0.571 0.105
O 0.904 0.850 0.678
O 0.099 0.613 0.956
O 0.478 0.473 0.204
O 0.218 0.429 0.395
O 0.752 0.037 0.818
O 0.022 0.473 0.704
O 0.522 0.527 0.796
O 0.748 0.037 0.318
O 0.900 0.010 0.080
Th 0.407 0.251 0.509
Th 0.907 0.749 0.991
Th 0.093 0.251 0.009
Th 0.593 0.749 0.491

14.
TiTl2Te3O12 after structural relaxation. Source: Materials Project, functional r²SCAN.

Values from the calculation:
calculated formation energy	-1.483	eV/atom
mass density	6.6	Mg/m³
size of the total moment	0.00	μB/cell

Unit cell a=7.140 b=7.140 c=7.142 alpha=60.21 beta=60.21 gamma=60.21
Element x y z (fractional)
O 0.822 0.825 0.930
O 0.434 0.434 0.321
O 0.822 0.431 0.323
O 0.175 0.178 0.070
O 0.566 0.180 0.066
O 0.430 0.825 0.324
O 0.178 0.566 0.066
O 0.566 0.566 0.679
O 0.569 0.178 0.677
O 0.820 0.434 0.934
O 0.434 0.822 0.934
O 0.175 0.570 0.676
Te 0.998 0.501 0.999
Te 0.498 0.502 0.500
Te 0.499 0.002 0.001
Ti 0.495 0.505 0.000
Tl 0.106 0.164 0.634
Tl 0.836 0.894 0.366